# HoNi2Ge2 | the Materials Project | GGA-PBE | relaxed
# calculated formation energy = -66 kJ per mole of atoms
data_HoNi2Ge2
_cell_length_a 4.054
_cell_length_b 4.054
_cell_length_c 9.792
_cell_angle_alpha 90.00
_cell_angle_beta 90.00
_cell_angle_gamma 90.00
_symmetry_space_group_name_H-M 'P 1'
_symmetry_Int_Tables_number 1
loop_
_symmetry_equiv_pos_as_xyz
'x,y,z'
loop_
_atom_site_label
_atom_site_fract_x
_atom_site_fract_y
_atom_site_fract_z
Ho1 0.000 0.000 0.000
Ho2 0.500 0.500 0.500
Ni1 0.000 0.500 0.250
Ni2 0.000 0.500 0.750
Ni3 0.500 0.000 0.250
Ni4 0.500 0.000 0.750
Ge1 0.000 0.000 0.372
Ge2 0.000 0.000 0.628
Ge3 0.500 0.500 0.128
Ge4 0.500 0.500 0.872



# Ho4Ni3Ge12 | the Materials Project | GGA-PBE | relaxed
# calculated formation energy = -52 kJ per mole of atoms
data_Ho4Ni3Ge12
_cell_length_a 4.071
_cell_length_b 4.080
_cell_length_c 21.598
_cell_angle_alpha 90.00
_cell_angle_beta 90.00
_cell_angle_gamma 90.00
_symmetry_space_group_name_H-M 'P 1'
_symmetry_Int_Tables_number 1
loop_
_symmetry_equiv_pos_as_xyz
'x,y,z'
loop_
_atom_site_label
_atom_site_fract_x
_atom_site_fract_y
_atom_site_fract_z
Ho1 0.000 0.000 0.000
Ho2 0.000 0.000 0.335
Ho3 0.500 0.000 0.498
Ho4 0.500 0.000 0.838
Ni1 0.000 0.500 0.558
Ni2 0.000 0.500 0.780
Ni3 0.500 0.500 0.057
Ge1 0.000 0.000 0.611
Ge2 0.000 0.000 0.726
Ge3 0.000 0.500 0.113
Ge4 0.000 0.500 0.230
Ge5 0.000 0.500 0.451
Ge6 0.000 0.500 0.885
Ge7 0.500 0.000 0.113
Ge8 0.500 0.000 0.230
Ge9 0.500 0.500 0.378
Ge10 0.500 0.500 0.611
Ge11 0.500 0.500 0.726
Ge12 0.500 0.500 0.952



# Ho3NiGe2 | the Materials Project | GGA-PBE | relaxed
# calculated formation energy = -77 kJ per mole of atoms
data_Ho3NiGe2
_cell_length_a 11.327
_cell_length_b 4.147
_cell_length_c 11.241
_cell_angle_alpha 90.00
_cell_angle_beta 90.00
_cell_angle_gamma 90.00
_symmetry_space_group_name_H-M 'P 1'
_symmetry_Int_Tables_number 1
loop_
_symmetry_equiv_pos_as_xyz
'x,y,z'
loop_
_atom_site_label
_atom_site_fract_x
_atom_site_fract_y
_atom_site_fract_z
Ho1 0.056 0.250 0.129
Ho2 0.121 0.750 0.558
Ho3 0.219 0.250 0.802
Ho4 0.281 0.750 0.302
Ho5 0.379 0.250 0.058
Ho6 0.444 0.750 0.629
Ho7 0.556 0.250 0.371
Ho8 0.621 0.750 0.942
Ho9 0.719 0.250 0.698
Ho10 0.781 0.750 0.198
Ho11 0.879 0.250 0.442
Ho12 0.944 0.750 0.871
Ni1 0.129 0.250 0.369
Ni2 0.371 0.750 0.869
Ni3 0.629 0.250 0.131
Ni4 0.871 0.750 0.631
Ge1 0.018 0.750 0.315
Ge2 0.190 0.750 0.996
Ge3 0.310 0.250 0.496
Ge4 0.482 0.250 0.815
Ge5 0.518 0.750 0.185
Ge6 0.690 0.750 0.504
Ge7 0.810 0.250 0.004
Ge8 0.982 0.250 0.685



# Ho2Ge2O5 | the Materials Project | GGA-PBE | relaxed
# calculated formation energy = -220 kJ per mole of atoms
data_Ho2Ge2O5
_cell_length_a 4.101
_cell_length_b 4.101
_cell_length_c 6.640
_cell_angle_alpha 90.00
_cell_angle_beta 90.00
_cell_angle_gamma 90.00
_symmetry_space_group_name_H-M 'P 1'
_symmetry_Int_Tables_number 1
loop_
_symmetry_equiv_pos_as_xyz
'x,y,z'
loop_
_atom_site_label
_atom_site_fract_x
_atom_site_fract_y
_atom_site_fract_z
Ho1 0.000 0.000 0.000
Ho2 0.000 0.000 0.500
Ge1 0.500 0.500 0.214
Ge2 0.500 0.500 0.786
O1 0.000 0.500 0.232
O2 0.000 0.500 0.768
O3 0.500 0.000 0.232
O4 0.500 0.000 0.768
O5 0.500 0.500 0.500



# HoGePd | the Materials Project | GGA-PBE | relaxed
# calculated formation energy = -88 kJ per mole of atoms
data_HoGePd
_cell_length_a 10.447
_cell_length_b 4.372
_cell_length_c 7.002
_cell_angle_alpha 90.00
_cell_angle_beta 132.09
_cell_angle_gamma 90.00
_symmetry_space_group_name_H-M 'P 1'
_symmetry_Int_Tables_number 1
loop_
_symmetry_equiv_pos_as_xyz
'x,y,z'
loop_
_atom_site_label
_atom_site_fract_x
_atom_site_fract_y
_atom_site_fract_z
Ho1 0.044 0.000 0.284
Ho2 0.456 0.500 0.716
Ho3 0.544 0.500 0.284
Ho4 0.956 0.000 0.716
Ge1 0.159 0.500 0.714
Ge2 0.341 0.000 0.286
Ge3 0.659 0.000 0.714
Ge4 0.841 0.500 0.286
Pd1 0.177 0.500 0.129
Pd2 0.323 0.000 0.871
Pd3 0.677 0.000 0.129
Pd4 0.823 0.500 0.871



# Ho4Ge8Pd | the Materials Project | GGA-PBE | relaxed
# calculated formation energy = -61 kJ per mole of atoms
data_Ho4Ge8Pd
_cell_length_a 4.005
_cell_length_b 4.097
_cell_length_c 16.524
_cell_angle_alpha 90.00
_cell_angle_beta 90.00
_cell_angle_gamma 90.00
_symmetry_space_group_name_H-M 'P 1'
_symmetry_Int_Tables_number 1
loop_
_symmetry_equiv_pos_as_xyz
'x,y,z'
loop_
_atom_site_label
_atom_site_fract_x
_atom_site_fract_y
_atom_site_fract_z
Ho1 0.000 0.000 0.000
Ho2 0.000 0.500 0.487
Ho3 0.500 0.000 0.791
Ho4 0.500 0.500 0.284
Ge1 0.000 0.000 0.335
Ge2 0.000 0.000 0.620
Ge3 0.000 0.500 0.139
Ge4 0.000 0.500 0.859
Ge5 0.500 0.000 0.146
Ge6 0.500 0.000 0.437
Ge7 0.500 0.500 0.619
Ge8 0.500 0.500 0.956
Pd1 0.000 0.500 0.711



# Ho2Ge6Pd | the Materials Project | GGA-PBE | relaxed
# calculated formation energy = -47 kJ per mole of atoms
data_Ho2Ge6Pd
_cell_length_a 4.096
_cell_length_b 11.191
_cell_length_c 11.191
_cell_angle_alpha 20.74
_cell_angle_beta 90.00
_cell_angle_gamma 90.00
_symmetry_space_group_name_H-M 'P 1'
_symmetry_Int_Tables_number 1
loop_
_symmetry_equiv_pos_as_xyz
'x,y,z'
loop_
_atom_site_label
_atom_site_fract_x
_atom_site_fract_y
_atom_site_fract_z
Ho1 0.000 0.000 0.000
Ho2 0.000 0.340 0.340
Ge1 0.000 0.625 0.625
Ge2 0.000 0.738 0.738
Ge3 0.500 0.126 0.126
Ge4 0.500 0.240 0.240
Ge5 0.500 0.448 0.448
Ge6 0.500 0.876 0.876
Pd1 0.500 0.559 0.559



# HoGePd | the Materials Project | GGA-PBE | relaxed
# calculated formation energy = -96 kJ per mole of atoms
data_HoGePd
_cell_length_a 4.412
_cell_length_b 13.910
_cell_length_c 7.662
_cell_angle_alpha 90.00
_cell_angle_beta 90.00
_cell_angle_gamma 90.00
_symmetry_space_group_name_H-M 'P 1'
_symmetry_Int_Tables_number 1
loop_
_symmetry_equiv_pos_as_xyz
'x,y,z'
loop_
_atom_site_label
_atom_site_fract_x
_atom_site_fract_y
_atom_site_fract_z
Ho1 0.250 0.001 0.214
Ho2 0.250 0.250 0.297
Ho3 0.250 0.499 0.214
Ho4 0.250 0.750 0.290
Ho5 0.750 0.250 0.710
Ho6 0.750 0.501 0.786
Ho7 0.750 0.750 0.703
Ho8 0.750 0.999 0.786
Ge1 0.250 0.108 0.591
Ge2 0.250 0.392 0.591
Ge3 0.250 0.652 0.909
Ge4 0.250 0.848 0.909
Ge5 0.750 0.152 0.091
Ge6 0.750 0.348 0.091
Ge7 0.750 0.608 0.409
Ge8 0.750 0.892 0.409
Pd1 0.250 0.141 0.923
Pd2 0.250 0.359 0.923
Pd3 0.250 0.595 0.581
Pd4 0.250 0.905 0.581
Pd5 0.750 0.095 0.419
Pd6 0.750 0.405 0.419
Pd7 0.750 0.641 0.077
Pd8 0.750 0.859 0.077



# HoGe2Pd2 | the Materials Project | GGA-PBE | relaxed
# calculated formation energy = -76 kJ per mole of atoms
data_HoGe2Pd2
_cell_length_a 4.263
_cell_length_b 4.263
_cell_length_c 10.203
_cell_angle_alpha 90.00
_cell_angle_beta 90.00
_cell_angle_gamma 90.00
_symmetry_space_group_name_H-M 'P 1'
_symmetry_Int_Tables_number 1
loop_
_symmetry_equiv_pos_as_xyz
'x,y,z'
loop_
_atom_site_label
_atom_site_fract_x
_atom_site_fract_y
_atom_site_fract_z
Ho1 0.000 0.000 0.000
Ho2 0.500 0.500 0.500
Ge1 0.000 0.000 0.381
Ge2 0.000 0.000 0.619
Ge3 0.500 0.500 0.119
Ge4 0.500 0.500 0.881
Pd1 0.000 0.500 0.250
Pd2 0.000 0.500 0.750
Pd3 0.500 0.000 0.250
Pd4 0.500 0.000 0.750



# HoGePd2 | the Materials Project | GGA-PBE | relaxed
# calculated formation energy = -88 kJ per mole of atoms
data_HoGePd2
_cell_length_a 7.415
_cell_length_b 7.109
_cell_length_c 5.601
_cell_angle_alpha 90.00
_cell_angle_beta 90.00
_cell_angle_gamma 90.00
_symmetry_space_group_name_H-M 'P 1'
_symmetry_Int_Tables_number 1
loop_
_symmetry_equiv_pos_as_xyz
'x,y,z'
loop_
_atom_site_label
_atom_site_fract_x
_atom_site_fract_y
_atom_site_fract_z
Ho1 0.030 0.250 0.148
Ho2 0.470 0.750 0.648
Ho3 0.530 0.250 0.352
Ho4 0.970 0.750 0.852
Ge1 0.120 0.750 0.353
Ge2 0.380 0.250 0.853
Ge3 0.620 0.750 0.147
Ge4 0.880 0.250 0.647
Pd1 0.181 0.050 0.589
Pd2 0.181 0.450 0.589
Pd3 0.319 0.550 0.089
Pd4 0.319 0.950 0.089
Pd5 0.681 0.050 0.911
Pd6 0.681 0.450 0.911
Pd7 0.819 0.550 0.411
Pd8 0.819 0.950 0.411



# HoGePd | the Materials Project | GGA-PBE | relaxed
# calculated formation energy = -95 kJ per mole of atoms
data_HoGePd
_cell_length_a 11.352
_cell_length_b 11.352
_cell_length_c 11.352
_cell_angle_alpha 157.63
_cell_angle_beta 45.69
_cell_angle_gamma 140.70
_symmetry_space_group_name_H-M 'P 1'
_symmetry_Int_Tables_number 1
loop_
_symmetry_equiv_pos_as_xyz
'x,y,z'
loop_
_atom_site_label
_atom_site_fract_x
_atom_site_fract_y
_atom_site_fract_z
Ho1 0.000 0.000 0.000
Ho2 0.245 0.078 0.167
Ho3 0.333 0.000 0.333
Ho4 0.584 0.084 0.500
Ho5 0.666 0.000 0.667
Ho6 0.911 0.078 0.833
Ge1 0.317 0.382 0.935
Ge2 0.447 0.382 0.065
Ge3 0.461 0.697 0.764
Ge4 0.786 0.380 0.406
Ge5 0.933 0.697 0.236
Ge6 0.974 0.380 0.594
Pd1 0.100 0.367 0.732
Pd2 0.140 0.713 0.428
Pd3 0.285 0.713 0.572
Pd4 0.604 0.708 0.895
Pd5 0.635 0.367 0.268
Pd6 0.813 0.708 0.105



# Ho2Ge3Pt9 | the Materials Project | GGA-PBE | relaxed
# calculated formation energy = -75 kJ per mole of atoms
data_Ho2Ge3Pt9
_cell_length_a 7.821
_cell_length_b 7.821
_cell_length_c 10.119
_cell_angle_alpha 112.99
_cell_angle_beta 112.99
_cell_angle_gamma 60.12
_symmetry_space_group_name_H-M 'P 1'
_symmetry_Int_Tables_number 1
loop_
_symmetry_equiv_pos_as_xyz
'x,y,z'
loop_
_atom_site_label
_atom_site_fract_x
_atom_site_fract_y
_atom_site_fract_z
Ho1 0.084 0.254 0.251
Ho2 0.254 0.084 0.751
Ho3 0.746 0.916 0.249
Ho4 0.916 0.746 0.749
Ge1 0.000 0.500 0.000
Ge2 0.140 0.681 0.502
Ge3 0.319 0.860 0.998
Ge4 0.500 0.000 0.500
Ge5 0.681 0.140 0.002
Ge6 0.860 0.319 0.498
Pt1 0.022 0.860 0.078
Pt2 0.140 0.978 0.422
Pt3 0.194 0.360 0.580
Pt4 0.202 0.586 0.257
Pt5 0.298 0.476 0.922
Pt6 0.360 0.194 0.080
Pt7 0.366 0.634 0.750
Pt8 0.414 0.798 0.243
Pt9 0.476 0.298 0.422
Pt10 0.524 0.702 0.578
Pt11 0.586 0.202 0.757
Pt12 0.634 0.366 0.250
Pt13 0.640 0.806 0.920
Pt14 0.702 0.524 0.078
Pt15 0.798 0.414 0.743
Pt16 0.806 0.640 0.420
Pt17 0.860 0.022 0.578
Pt18 0.978 0.140 0.922